1.
Material: Er15Fe4Ru4C25
Method: DFT, PBE-GGA
State: optimized geometry

```
Er15Fe4Ru4C25
1.0
5.076 0.000 0.000
0.004 12.004 0.000
0.002 5.999 10.398
Er Fe Ru C
15 4 4 25
Cartesian
0.000 0.000 0.000 Er
0.003 2.802 2.269 Er
5.078 11.445 3.566 Er
0.053 3.893 5.854 Er
0.053 8.563 7.662 Er
0.055 7.797 2.718 Er
1.341 5.743 0.238 Er
1.343 11.729 7.118 Er
1.343 14.783 8.870 Er
2.545 8.600 10.076 Er
2.546 9.865 1.473 Er
2.548 13.785 4.683 Er
2.607 6.003 7.347 Er
2.606 5.446 3.797 Er
2.608 8.803 5.089 Er
0.123 6.750 5.411 Fe
3.900 5.209 1.132 Fe
3.902 11.226 6.212 Fe
3.901 15.819 8.878 Fe
2.536 12.753 1.944 Ru
3.879 11.114 8.879 Ru
3.883 13.571 10.295 Ru
3.882 13.568 7.458 Ru
5.077 8.409 10.161 C
5.078 10.035 1.597 C
0.006 13.807 4.475 C
0.055 12.751 8.875 C
0.083 6.050 7.103 C
0.081 5.636 3.958 C
0.084 8.566 5.170 C
2.528 11.523 3.476 C
2.528 2.689 2.242 C
2.530 12.038 0.117 C
2.623 4.050 5.747 C
2.623 8.392 7.579 C
2.624 7.808 2.905 C
2.645 3.951 1.784 C
2.649 11.292 4.799 C
2.649 17.010 9.649 C
2.847 9.751 7.726 C
2.847 7.255 1.655 C
2.848 15.250 6.853 C
4.802 13.191 5.680 C
4.804 9.762 10.093 C
4.804 9.296 0.463 C
5.054 5.077 8.043 C
5.054 5.305 2.647 C
5.053 9.866 5.545 C
```

Summary:
The size of the total moment is 0.101 μB/atom. As for the energy relative to the elements: -0.295 eV per atom.



2.
Material: ErFe2SiC
Method: DFT, PBE-GGA
State: optimized geometry

```
ErFe2SiC
1.0
1.852 -5.213 0.000
1.852 5.213 0.000
0.000 0.000 6.738
Er Fe Si C
2 4 2 2
Cartesian
1.852 4.719 5.054 Er
1.852 -4.719 1.685 Er
1.852 1.724 3.788 Fe
1.852 1.724 6.320 Fe
1.852 -1.724 0.419 Fe
1.852 -1.724 2.951 Fe
1.852 2.786 1.685 Si
1.852 -2.786 5.054 Si
1.852 0.000 0.000 C
1.852 0.000 3.369 C
```

Summary:
The size of the total moment is 0.003 μB/atom. As for the energy relative to the elements: -0.537 eV per atom.



3.
Material: ErTiFe11C
Method: DFT, PBE-GGA
State: optimized geometry

```
ErTiFe11C
1.0
-2.424 4.273 4.252
2.424 -4.273 4.252
2.424 4.273 -4.252
Er Ti Fe C
1 1 11 1
Cartesian
0.000 0.000 0.000 Er
0.000 0.000 3.162 Ti
1.209 2.123 -2.076 Fe
3.639 2.123 -2.076 Fe
2.424 1.884 0.074 Fe
2.424 0.000 1.944 Fe
0.000 3.060 0.059 Fe
-1.215 2.150 2.176 Fe
1.215 2.150 2.176 Fe
0.000 5.485 0.059 Fe
0.000 0.000 5.531 Fe
0.000 4.273 2.406 Fe
0.000 2.388 4.326 Fe
2.424 0.000 0.044 C
```

Summary:
The size of the total moment is 1.565 μB/atom. As for the energy relative to the elements: -0.103 eV per atom.



4.
Material: Er3GaC
Method: DFT, PBE-GGA
State: optimized geometry

```
Er3GaC
1.0
5.253 0.000 0.000
0.000 5.253 0.000
0.000 0.000 5.253
Er Ga C
3 1 1
Cartesian
0.000 0.000 2.627 Er
0.000 2.627 0.000 Er
2.627 0.000 0.000 Er
0.000 0.000 0.000 Ga
2.627 2.627 2.627 C
```

Summary:
The size of the total moment is 0.000 μB/atom. As for the energy relative to the elements: 1.187 eV per atom.



For the records above, the corresponding E_tot values read -384.36, -77.70, -116.30, -20.03 eV/cell.